(1)
# PrO

PrO after structural relaxation (PBE, Materials Project).

Calculated values
space group: No. 225

Cell: 3.6079 3.6079 3.6079 Å, 60.00 60.00 60.00°
Last column: nearest neighbours and their distance in Å.
Atoms (fractional coordinates):
Pr 0.0000 0.0000 0.0000  6 O 2.55
O 0.5000 0.5000 0.5000  6 Pr 2.55

(2)
# YMn2

YMn2 after structural relaxation (PBE, Materials Project).

Calculated values
total magnetization: 0.881 μB/f.u.
space group: No. 227

Cell: 5.1204 5.1204 5.1204 Å, 60.00 60.00 60.00°
Last column: nearest neighbours and their distance in Å.
Atoms (fractional coordinates):
Y 0.7500 0.7500 0.7500  12 Mn 3.00, 4 Y 3.14
Y 0.0000 0.0000 0.0000  12 Mn 3.00, 4 Y 3.14
Mn 0.3750 0.3750 0.3750  6 Mn 2.56
Mn 0.3750 0.3750 0.8750  6 Mn 2.56
Mn 0.3750 0.8750 0.3750  6 Mn 2.56
Mn 0.8750 0.3750 0.3750  6 Mn 2.56

(3)
# VFe2Se4

VFe2Se4 after structural relaxation (PBE, Materials Project).

Calculated values
total magnetization: 4.275 μB/f.u.
space group: No. 8
energy above the lowest structure with this stoichiometry: 0 meV/atom

Cell: 6.6829 6.6829 6.1341 Å, 64.33 64.33 29.42°
Last column: nearest neighbours and their distance in Å.
Atoms (fractional coordinates):
V 0.7540 0.7540 0.1830  5 Se 2.39-2.58
Fe 0.5010 0.5010 0.4967  6 Se 2.43-2.53
Fe 0.2433 0.2433 0.8209  5 Se 2.38-2.60
Se 0.8627 0.8627 0.4791  4 Fe 2.50-2.60, 1 V 2.75
Se 0.1399 0.1399 0.5246  3 Fe 2.53-2.70, 2 V 2.58
Se 0.3945 0.3945 0.9410  2 Fe 2.38-2.44, 2 V 2.44
Se 0.6045 0.6045 0.0546  1 V 2.39, 3 Fe 2.42-2.43

(4)
# BAsO4

BAsO4 after structural relaxation (PBE, Materials Project).

Calculated values
total magnetization: 0.000 μB/f.u.
maximum piezoelectric response: 0.21 C/m2
space group: No. 152
energy above the lowest structure with this stoichiometry: 47 meV/atom

Cell: 4.6371 4.6371 10.5224 Å, 90.00 90.00 120.00°
Last column: nearest neighbours and their distance in Å.
Atoms (fractional coordinates):
B 0.5367 0.0000 0.3333  4 O 1.48
B 0.0000 0.5367 0.6667  4 O 1.48
B 0.4633 0.4633 0.0000  4 O 1.48
As 0.5410 0.0000 0.8333  4 O 1.71-1.72
As 0.4590 0.4590 0.5000  4 O 1.71-1.72
As 0.0000 0.5410 0.1667  4 O 1.71-1.72
O 0.2739 0.8697 0.7054  1 B 1.48
O 0.6910 0.6055 0.1101  1 B 1.48
O 0.3945 0.0855 0.4435  1 B 1.48
O 0.5958 0.7261 0.3721  1 B 1.48
O 0.8697 0.2739 0.2946  1 B 1.48
O 0.1303 0.4042 0.0387  1 B 1.48
O 0.7261 0.5958 0.6279  1 B 1.48
O 0.4042 0.1303 0.9613  1 B 1.48
O 0.0855 0.3945 0.5565  1 B 1.48
O 0.6055 0.6910 0.8899  1 B 1.48
O 0.3090 0.9145 0.2232  1 B 1.48
O 0.9145 0.3090 0.7768  1 B 1.48

(5)
# Ag3P11

Ag3P11 after structural relaxation (PBE, Materials Project).

Calculated values
maximum piezoelectric response: 0.17 C/m2
space group: No. 8

Cell: 7.5834 7.5834 6.6812 Å, 65.52 65.52 60.60°
Last column: nearest neighbours and their distance in Å.
Atoms (fractional coordinates):
Ag 0.2913 0.2913 0.9742  4 P 2.50-2.58
Ag 0.5895 0.5895 0.1964  4 P 2.53-2.56
Ag 0.9993 0.9993 0.9976  4 P 2.55-2.62
P 0.8111 0.8111 0.9543  2 P 2.20
P 0.4924 0.4924 0.9449  2 P 2.20
P 0.0819 0.0819 0.2737  2 P 2.20
P 0.2648 0.7756 0.4693  3 P 2.20-2.26
P 0.7756 0.2648 0.4693  3 P 2.20-2.26
P 0.6141 0.9105 0.4974  3 P 2.22-2.27
P 0.9105 0.6141 0.4974  3 P 2.22-2.27
P 0.6100 0.0553 0.7288  3 P 2.20-2.23
P 0.0553 0.6100 0.7288  3 P 2.20-2.23
P 0.3512 0.8088 0.7338  3 P 2.20-2.26
P 0.8088 0.3512 0.7338  3 P 2.20-2.26

(6)
# CaH12I2O12

CaH12I2O12 after structural relaxation (PBE, Materials Project).

Calculated values
total magnetization: 0.002 μB/f.u.
space group: No. 43

Cell: 13.8017 12.0035 8.1688 Å, 84.05 59.89 36.06°
Last column: nearest neighbours and their distance in Å.
Atoms (fractional coordinates):
Ca 0.4323 0.0677 0.0677  8 O 2.44-2.55
Ca 0.1823 0.8177 0.8177  8 O 2.44-2.55
H 0.8797 0.8829 0.1689  1 O 1.01
H 0.1937 0.2520 0.9093  1 O 0.99
H 0.8591 0.2249 0.2726  1 O 0.99
H 0.4604 0.9887 0.6922  1 O 1.00
H 0.0837 0.7182 0.1499  1 O 1.00
H 0.9187 0.0595 0.3290  1 O 0.99
H 0.9210 0.5571 0.3313  1 O 0.99
H 0.1001 0.2018 0.1663  1 O 1.00
H 0.5578 0.3913 0.7896  1 O 1.00
H 0.9774 0.6066 0.3909  1 O 0.99
H 0.3407 0.6051 0.0563  1 O 0.99
H 0.0811 0.1815 0.3703  1 O 1.01
H 0.3671 0.3703 0.1815  1 O 1.01
H 0.9980 0.0563 0.6051  1 O 0.99
H 0.0251 0.3909 0.6066  1 O 0.99
H 0.2613 0.7896 0.3913  1 O 1.00
H 0.5318 0.1663 0.2018  1 O 1.00
H 0.1905 0.3313 0.5571  1 O 0.99
H 0.6929 0.3290 0.0595  1 O 0.99
H 0.0482 0.1499 0.7182  1 O 1.00
H 0.8587 0.6922 0.9887  1 O 1.00
H 0.6434 0.2726 0.2249  1 O 0.99
H 0.6449 0.9093 0.2520  1 O 0.99
H 0.0685 0.1689 0.8829  1 O 1.01
I 0.3754 0.3470 0.6575  3 O 1.77-1.89
I 0.5925 0.6299 0.8746  3 O 1.77-1.89
I 0.9030 0.8746 0.6299  3 O 1.77-1.89
I 0.6201 0.6575 0.3470  3 O 1.77-1.89
O 0.9446 0.3705 0.0867  3 H 1.69-1.86, 1 I 1.86
O 0.5806 0.5537 0.4683  1 I 1.77, 1 H 1.88
O 0.0489 0.7573 0.0546  2 H 1.00-1.01
O 0.6362 0.7211 0.5246  2 H 1.75-1.93, 1 I 1.89
O 0.3544 0.1366 0.8162  2 H 0.99-1.00
O 0.9905 0.0561 0.2019  2 H 0.99
O 0.0481 0.4985 0.2595  2 H 0.99
O 0.4338 0.5571 0.8956  2 H 0.99-1.00
O 0.7254 0.1319 0.6138  2 H 1.75-1.93, 1 I 1.89
O 0.1954 0.1108 0.2011  2 H 1.00-1.01
O 0.7817 0.8527 0.6694  1 I 1.77, 1 H 1.88
O 0.1633 0.6518 0.3054  3 H 1.69-1.86, 1 I 1.86
O 0.8795 0.3054 0.6518  3 H 1.69-1.86, 1 I 1.86
O 0.6963 0.6694 0.8527  1 I 1.77, 1 H 1.88
O 0.4927 0.2011 0.1108  2 H 1.00-1.01
O 0.5289 0.6138 0.1319  2 H 1.75-1.93, 1 I 1.89
O 0.1134 0.8956 0.5571  2 H 0.99-1.00
O 0.1939 0.2595 0.4985  2 H 0.99
O 0.7515 0.2019 0.0561  2 H 0.99
O 0.6929 0.8162 0.1366  2 H 0.99-1.00
O 0.1181 0.5246 0.7211  2 H 1.75-1.93, 1 I 1.89
O 0.1392 0.0546 0.7573  2 H 1.00-1.01
O 0.3973 0.4683 0.5537  1 I 1.77, 1 H 1.88
O 0.5982 0.0867 0.3705  3 H 1.69-1.86, 1 I 1.86

(7)
# Gd2Fe14C

Gd2Fe14C after structural relaxation (PBE, Materials Project).

Calculated values
total magnetization: 42.955 μB/f.u.
space group: No. 136

Cell: 8.6372 8.6372 11.6058 Å, 90.00 90.00 90.00°
Last column: nearest neighbours and their distance in Å.
Atoms (fractional coordinates):
Gd 0.2386 0.7614 0.5000  16 Fe 2.92-3.17
Gd 0.7614 0.2386 0.5000  16 Fe 2.92-3.17
Gd 0.2614 0.2614 0.0000  16 Fe 2.92-3.17
Gd 0.7386 0.7386 0.0000  16 Fe 2.92-3.17
Gd 0.6423 0.6423 0.5000  1 C 2.81, 6 Fe 2.99-3.00
Gd 0.3577 0.3577 0.5000  1 C 2.81, 6 Fe 2.99-3.00
Gd 0.8577 0.1423 0.0000  1 C 2.81, 6 Fe 2.99-3.00
Gd 0.1423 0.8577 0.0000  1 C 2.81, 6 Fe 2.99-3.00
Fe 0.0000 0.5000 0.5000  8 Fe 2.46-2.49
Fe 0.5000 0.0000 0.0000  8 Fe 2.46-2.49
Fe 0.5000 0.0000 0.5000  8 Fe 2.46-2.49
Fe 0.0000 0.5000 0.0000  8 Fe 2.46-2.49
Fe 0.5000 0.5000 0.1082  2 C 2.00
Fe 0.0000 0.0000 0.6082  2 C 2.00
Fe 0.5000 0.5000 0.8918  2 C 2.00
Fe 0.0000 0.0000 0.3918  2 C 2.00
Fe 0.1846 0.8154 0.2549  12 Fe 2.54-2.76
Fe 0.8154 0.1846 0.2549  12 Fe 2.54-2.76
Fe 0.3154 0.3154 0.7549  12 Fe 2.54-2.76
Fe 0.6846 0.6846 0.7549  12 Fe 2.54-2.76
Fe 0.8154 0.1846 0.7451  12 Fe 2.54-2.76
Fe 0.1846 0.8154 0.7451  12 Fe 2.54-2.76
Fe 0.6846 0.6846 0.2451  12 Fe 2.54-2.76
Fe 0.3154 0.3154 0.2451  12 Fe 2.54-2.76
Fe 0.4048 0.5952 0.2933  8 Fe 2.32-2.60
Fe 0.5952 0.4048 0.2933  8 Fe 2.32-2.60
Fe 0.0952 0.0952 0.7933  8 Fe 2.32-2.60
Fe 0.9048 0.9048 0.7933  8 Fe 2.32-2.60
Fe 0.5952 0.4048 0.7067  8 Fe 2.32-2.60
Fe 0.4048 0.5952 0.7067  8 Fe 2.32-2.60
Fe 0.9048 0.9048 0.2067  8 Fe 2.32-2.60
Fe 0.0952 0.0952 0.2067  8 Fe 2.32-2.60
Fe 0.1455 0.5333 0.3194  10 Fe 2.32-2.58
Fe 0.8545 0.4667 0.3194  10 Fe 2.32-2.58
Fe 0.3545 0.0333 0.8194  10 Fe 2.32-2.58
Fe 0.6455 0.9667 0.8194  10 Fe 2.32-2.58
Fe 0.8545 0.4667 0.6806  10 Fe 2.32-2.58
Fe 0.1455 0.5333 0.6806  10 Fe 2.32-2.58
Fe 0.6455 0.9667 0.1806  10 Fe 2.32-2.58
Fe 0.3545 0.0333 0.1806  10 Fe 2.32-2.58
Fe 0.5333 0.1455 0.3194  10 Fe 2.32-2.58
Fe 0.4667 0.8545 0.3194  10 Fe 2.32-2.58
Fe 0.0333 0.3545 0.8194  10 Fe 2.32-2.58
Fe 0.9667 0.6455 0.8194  10 Fe 2.32-2.58
Fe 0.4667 0.8545 0.6806  10 Fe 2.32-2.58
Fe 0.5333 0.1455 0.6806  10 Fe 2.32-2.58
Fe 0.9667 0.6455 0.1806  10 Fe 2.32-2.58
Fe 0.0333 0.3545 0.1806  10 Fe 2.32-2.58
Fe 0.9341 0.7269 0.3764  1 C 1.98
Fe 0.0659 0.2731 0.3764  1 C 1.98
Fe 0.5659 0.2269 0.8764  1 C 1.98
Fe 0.4341 0.7731 0.8764  1 C 1.98
Fe 0.0659 0.2731 0.6236  1 C 1.98
Fe 0.9341 0.7269 0.6236  1 C 1.98
Fe 0.4341 0.7731 0.1236  1 C 1.98
Fe 0.5659 0.2269 0.1236  1 C 1.98
Fe 0.7269 0.9341 0.3764  1 C 1.98
Fe 0.2731 0.0659 0.3764  1 C 1.98
Fe 0.2269 0.5659 0.8764  1 C 1.98
Fe 0.7731 0.4341 0.8764  1 C 1.98
Fe 0.2731 0.0659 0.6236  1 C 1.98
Fe 0.7269 0.9341 0.6236  1 C 1.98
Fe 0.7731 0.4341 0.1236  1 C 1.98
Fe 0.2269 0.5659 0.1236  1 C 1.98
C 0.8724 0.8724 0.5000  6 Fe 1.98-2.00
C 0.1276 0.1276 0.5000  6 Fe 1.98-2.00
C 0.6276 0.3724 0.0000  6 Fe 1.98-2.00
C 0.3724 0.6276 0.0000  6 Fe 1.98-2.00

(8)
# HfMg6B

HfMg6B after structural relaxation (PBE, Materials Project).

Calculated values
total magnetization: 0.003 μB/f.u.
energy above the lowest structure with this stoichiometry: 35 meV/atom

Cell: 4.8010 5.6440 11.4586 Å, 90.00 90.00 90.00°
Last column: nearest neighbours and their distance in Å.
Atoms (fractional coordinates):
Hf 0.5000 0.5000 0.1832  2 B 2.84, 6 Mg 2.97-3.03
Hf 0.5000 0.0000 0.6832  2 B 2.84, 6 Mg 2.97-3.03
Mg 0.5000 0.2498 0.4336  6 Mg 2.82-3.00, 1 B 2.89
Mg 0.5000 0.7502 0.4336  6 Mg 2.82-3.00, 1 B 2.89
Mg 0.0000 0.7501 0.0782  6 Mg 2.82-3.11, 2 B 2.92, 2 Hf 3.03
Mg 0.0000 0.2499 0.0782  6 Mg 2.82-3.11, 2 B 2.92, 2 Hf 3.03
Mg 0.0000 0.0000 0.3029  8 Mg 2.85-3.16, 2 B 2.95
Mg 0.0000 0.5000 0.3363  8 Mg 2.85-3.11, 2 Hf 2.97
Mg 0.5000 0.7498 0.9336  6 Mg 2.82-3.00, 1 B 2.89
Mg 0.5000 0.2502 0.9336  6 Mg 2.82-3.00, 1 B 2.89
Mg 0.0000 0.2501 0.5782  6 Mg 2.82-3.11, 2 B 2.92, 2 Hf 3.03
Mg 0.0000 0.7499 0.5782  6 Mg 2.82-3.11, 2 B 2.92, 2 Hf 3.03
Mg 0.0000 0.5000 0.8029  8 Mg 2.85-3.16, 2 B 2.95
Mg 0.0000 0.0000 0.8363  8 Mg 2.85-3.11, 2 Hf 2.97
B 0.5000 0.0000 0.1539  2 Hf 2.84, 8 Mg 2.89-2.95
B 0.5000 0.5000 0.6539  2 Hf 2.84, 8 Mg 2.89-2.95

Total energy list, top to bottom, in eV per atom: -7.57 -8.10 -6.11 -6.82 -4.89 -4.93 -9.18 -2.91
Volume list, top to bottom, in Å³/atom: 16.60 15.82 17.19 10.89 20.98 10.28 12.73 19.41